This record from the Materials Project describes a geometry-optimized K3Cu2Bi5S10 structure. The functional is PBE.

Structure (CIF):
```
data_K3Cu2Bi5S10
_cell_length_a 14.405
_cell_length_b 17.887
_cell_length_c 4.058
_cell_angle_alpha 90.00
_cell_angle_beta 90.00
_cell_angle_gamma 90.00
_space_group_name_H-M_alt 'P n n m'
_space_group_IT_number 58
loop_
_space_group_symop_operation_xyz
'x,y,z'
'-x,-y,-z'
'-x,-y,z'
'x,y,-z'
'x+1/2,-y+1/2,-z+1/2'
'-x+1/2,y+1/2,z+1/2'
'-x+1/2,y+1/2,-z+1/2'
'x+1/2,-y+1/2,z+1/2'
loop_
_atom_site_label
_atom_site_fract_x
_atom_site_fract_y
_atom_site_fract_z
K1 0.000 0.000 0.000
K2 0.025 0.253 0.500
Cu1 0.218 0.748 0.000
Bi1 0.000 0.500 0.000
Bi2 0.220 0.597 0.500
Bi3 0.231 0.896 0.500
S1 0.094 0.640 0.000
S2 0.118 0.851 0.000
S3 0.123 0.447 0.500
S4 0.163 0.037 0.500
S5 0.200 0.234 0.000
```

Computed properties:
- Volume: 26.139 Å³ per atom
- E: -4.208 eV per atom